[1]
VASP calculation (r²SCAN) on B17F27 after structural relaxation.

Total magnetization ... 0.0 μB per cell
Space group ... P-1 (2)
Final energy ... -6.991 eV/atom
Theoretical density ... 2.1 g/cm3
Crystal system ... triclinic

Cell and atoms, written as extended XYZ:
```
88
Lattice="7.1276 0.0244 -0.0191 2.0184 12.7532 -0.0167 2.3754 4.3145 12.1341" Properties=species:S:1:pos:R:3 pbc="T T T"
B 9.4213 12.1790 11.8518
B 2.1001 4.9130 0.2465
B 8.9788 12.8293 10.2189
B 2.5426 4.2627 1.8793
B 9.9932 14.2020 9.7154
B 1.5282 2.8900 2.3829
B 8.9566 14.1327 11.2237
B 2.5648 2.9593 0.8746
B 10.0550 12.0474 9.1332
B 1.4664 5.0446 2.9650
B 7.3970 12.3719 9.7631
B 4.1244 4.7202 2.3352
B 10.0549 15.3596 11.7433
B 1.4665 1.7324 0.3550
B 7.4272 14.4638 11.8931
B 4.0942 2.6282 0.2052
B 7.9308 8.5772 9.1842
B 3.5906 8.5148 2.9140
B 8.9615 10.6327 5.9342
B 2.5599 6.4593 6.1641
B 8.5512 13.3347 5.7239
B 2.9702 3.7573 6.3743
B 7.1835 9.6186 3.6300
B 4.3379 7.4735 8.4682
B 5.7323 11.7831 2.9604
B 5.7891 5.3089 9.1378
B 7.9990 11.8038 5.1615
B 3.5224 5.2882 6.9368
B 7.6213 12.7806 3.6444
B 3.9001 4.3115 8.4538
B 6.8801 11.2319 4.1070
B 4.6413 5.8601 7.9913
B 5.9975 11.3414 5.6899
B 5.5239 5.7506 6.4084
F 9.9243 16.6053 11.3315
F 1.5971 0.4867 0.7668
F 4.5839 9.6012 0.8788
F 6.9375 7.4908 11.2195
F 6.6440 15.3203 11.2627
F 4.8774 1.7717 0.8356
F 2.9189 6.3403 11.5962
F 8.6025 10.7517 0.5020
F 4.4581 5.0259 3.5850
F 7.0633 12.0661 8.5133
F 5.1129 4.7307 1.4475
F 6.4085 12.3613 10.6508
F 1.5862 4.8789 4.2879
F 9.9352 12.2131 7.8104
F 7.7418 5.9898 2.5454
F 3.7796 11.1022 9.5529
F 2.0419 2.0655 3.2944
F 9.4795 15.0265 8.8039
F 7.3053 2.9643 2.2768
F 4.2161 14.1277 9.8215
F 5.3973 9.8899 11.7227
F 6.1241 7.2021 0.3756
F 6.1780 4.6618 6.0664
F 5.3434 12.4303 6.0319
F 5.7195 6.8630 5.7403
F 5.8019 10.2290 6.3580
F 4.5739 3.1436 8.3362
F 6.9475 13.9484 3.7621
F 2.9152 4.3451 9.3529
F 8.6062 12.7469 2.7454
F 7.0504 5.1450 8.7941
F 4.4710 11.9470 3.3042
F 5.5103 5.2437 10.4454
F 6.0111 11.8484 1.6529
F 3.9509 8.3942 7.5942
F 7.5705 8.6979 4.5041
F 4.4423 7.8645 9.7367
F 7.0791 9.2276 2.3616
F 3.6873 3.0926 5.4912
F 7.8341 13.9994 6.6071
F 1.7897 3.2944 6.7320
F 9.7317 13.7976 5.3663
F 2.9510 7.1646 5.1053
F 8.5704 9.9274 6.9929
F 8.4662 6.7171 6.5994
F 3.0552 10.3749 5.4989
F 3.2197 9.2858 11.9837
F 8.3017 7.8062 0.1146
F 3.4212 7.3671 2.2772
F 8.1002 9.7249 9.8211
F 2.6371 9.4209 2.8995
F 8.8843 7.6711 9.1988
F 4.7068 8.7452 3.5797
F 6.8146 8.3468 8.5185
```



[2]
VASP calculation (r²SCAN) on InBF4 after structural relaxation.

Total magnetization ... 0.0 μB per cell
Space group ... Pnma (62)
Final energy ... -9.753 eV/atom
Theoretical density ... 3.7 g/cm3
Crystal system ... orthorhombic

Cell and atoms, written as extended XYZ:
```
24
Lattice="5.5530 0.0000 0.0000 0.0000 7.2636 0.0000 0.0000 0.0000 9.0269" Properties=species:S:1:pos:R:3 pbc="T T T"
In 1.3883 2.4203 6.1937
In 4.1648 4.8433 2.8332
In 4.1648 6.0522 7.3466
In 1.3883 1.2115 1.6803
B 1.3883 4.9974 0.5761
B 1.3883 5.8981 5.0895
B 4.1648 1.3656 3.9374
B 4.1648 2.2662 8.4509
F 3.0158 2.1847 3.8087
F 5.3138 1.4471 8.3222
F 2.5373 5.8165 0.7047
F 0.2393 5.0790 5.2182
F 1.3883 4.0469 1.6137
F 4.1648 3.2168 7.4132
F 4.1648 0.4150 2.8998
F 1.3883 6.8486 6.1271
F 1.3883 4.3800 8.3505
F 4.1648 2.8836 0.6764
F 4.1648 0.7482 5.1898
F 1.3883 6.5154 3.8371
F 0.2393 5.8165 0.7047
F 3.0158 1.4471 8.3222
F 5.3138 2.1847 3.8087
F 2.5373 5.0790 5.2182
```



[3]
VASP calculation (r²SCAN) on KBF4 after structural relaxation.

Total magnetization ... 0.0 μB per cell
Space group ... Pnma (62)
Final energy ... -7.520 eV/atom
Theoretical density ... 2.6 g/cm3
Crystal system ... orthorhombic

Cell and atoms, written as extended XYZ:
```
24
Lattice="5.3624 0.0000 0.0000 0.0000 6.9410 0.0000 0.0000 0.0000 8.5337" Properties=species:S:1:pos:R:3 pbc="T T T"
K 1.3406 2.3687 5.8290
K 4.0218 4.5723 2.7048
K 4.0218 5.8392 6.9716
K 1.3406 1.1018 1.5621
B 1.3406 4.7832 0.5436
B 1.3406 5.6283 4.8105
B 4.0218 1.3127 3.7232
B 4.0218 2.1578 7.9901
F 2.8758 2.1318 3.6010
F 5.1678 1.3387 7.8679
F 2.4866 5.6023 0.6659
F 0.1946 4.8092 4.9327
F 1.3406 4.1654 7.8230
F 4.0218 2.7756 0.7108
F 4.0218 0.6949 4.9776
F 1.3406 6.2461 3.5561
F 1.3406 3.8332 1.5761
F 4.0218 3.1078 6.9576
F 4.0218 0.3627 2.6907
F 1.3406 6.5783 5.8430
F 0.1946 5.6023 0.6659
F 2.8758 1.3387 7.8679
F 5.1678 2.1318 3.6010
F 2.4866 4.8092 4.9327
```



[4]
VASP calculation (r²SCAN) on Li2B3O4F3 after structural relaxation.

Total magnetization ... 0.0 μB per cell
Space group ... P2_12_12_1 (19)
Final energy ... -7.845 eV/atom
Theoretical density ... 2.2 g/cm3
Crystal system ... orthorhombic

Cell and atoms, written as extended XYZ:
```
48
Lattice="4.8018 0.0000 0.0000 0.0000 8.7403 0.0000 0.0000 0.0000 12.2826" Properties=species:S:1:pos:R:3 pbc="T T T"
Li 2.8200 1.2683 1.2702
Li 4.3827 7.4720 7.4115
Li 0.4191 3.1018 11.0124
Li 1.9818 5.6385 4.8711
Li 1.5901 6.1502 11.4211
Li 0.8108 2.5901 5.2798
Li 3.9909 6.9603 0.8615
Li 3.2117 1.7800 7.0028
B 4.3915 7.1516 10.3207
B 2.8111 1.5887 4.1794
B 1.9907 5.9588 1.9619
B 0.4102 2.7815 8.1032
B 0.4669 0.2712 11.8130
B 1.9339 8.4691 5.6717
B 2.8678 4.0990 0.4696
B 4.3348 4.6413 6.6109
B 4.7090 0.6860 9.4480
B 2.4936 8.0543 3.3067
B 2.3081 3.6842 2.8345
B 0.0927 5.0561 8.9758
O 0.1674 7.6328 11.5654
O 2.2335 1.1075 5.4241
O 2.5683 5.4777 0.7172
O 4.6343 3.2626 6.8585
O 0.2016 1.1681 10.7015
O 2.1993 7.5722 4.5603
O 2.6025 3.2020 1.5810
O 4.6001 5.5383 7.7223
O 4.5248 8.0905 9.2289
O 2.6778 0.6498 3.0876
O 2.1240 5.0199 3.0537
O 0.2769 3.7204 9.1949
O 4.5814 1.5017 8.3674
O 2.6213 7.2386 2.2261
O 2.1805 2.8684 3.9152
O 0.2204 5.8719 10.0565
F 4.5113 0.7068 0.6851
F 2.6913 8.0335 6.8264
F 2.1104 3.6634 11.5974
F 0.2904 5.0769 5.4561
F 1.8361 0.4300 12.2082
F 0.5648 8.3103 6.0669
F 4.2370 3.9401 0.0744
F 2.9657 4.8002 6.2157
F 2.9710 6.9142 10.5036
F 4.2316 1.8261 4.3624
F 0.5701 6.1963 1.7789
F 1.8308 2.5440 7.9202
```



[5]
VASP calculation (r²SCAN) on BSF7 after structural relaxation.

Total magnetization ... 0.0 μB per cell
Space group ... Pnma (62)
Final energy ... -6.444 eV/atom
Theoretical density ... 2.5 g/cm3
Crystal system ... orthorhombic

Cell and atoms, written as extended XYZ:
```
36
Lattice="-4.8294 0.1137 -2.7617 3.9311 -3.6094 -7.0230 -2.0473 -8.5138 3.2296" Properties=species:S:1:pos:R:3 pbc="T T T"
B -3.9589 -4.6419 -1.6768
B -4.3275 -9.5003 -1.2325
B 1.3819 -2.5091 -5.3227
B 1.0133 -7.3676 -4.8783
S -1.2952 -8.0178 -0.8681
S -1.6504 -3.9917 -5.6870
S -1.6137 -9.2222 -5.9666
S -1.3319 -2.7873 -0.5885
F 2.5914 -3.2226 -5.1561
F -0.3906 -7.4626 -4.7382
F -4.5460 -4.5000 -2.9555
F -3.5460 -8.8338 -0.2605
F -0.3806 -1.7933 0.0984
F -0.5753 -10.2630 -5.5158
F -3.0738 -4.5521 -5.5305
F -1.8615 -7.4105 -2.1625
F -2.5650 -10.2162 -6.6536
F -2.3703 -1.7465 -1.0394
F 0.1282 -7.4573 -1.0247
F -1.0841 -4.5990 -4.3927
F -0.5753 -2.8516 -1.9143
F -2.3703 -9.1579 -4.6408
F -1.1421 -5.0888 -6.6210
F -1.8035 -6.9207 0.0659
F -4.2973 -5.9010 -1.1370
F 1.3517 -6.1085 -5.4182
F -0.3854 -9.7103 -2.5288
F -2.5602 -2.2992 -4.0263
F -4.4150 -3.6326 -0.8377
F 1.4694 -8.3769 -5.7174
F 0.6931 -2.4673 -4.1166
F -3.6387 -9.5422 -2.4386
F -2.5550 -4.5469 -1.8169
F 1.6004 -7.5095 -3.5997
F 0.6004 -3.1757 -6.2947
F -5.5370 -8.7869 -1.3991
```



[6]
VASP calculation (r²SCAN) on TlBF4 after structural relaxation.

Total magnetization ... 0.0 μB per cell
Space group ... Pnma (62)
Final energy ... -14.958 eV/atom
Theoretical density ... 5.3 g/cm3
Crystal system ... orthorhombic

Cell and atoms, written as extended XYZ:
```
24
Lattice="5.5394 0.0000 0.0000 0.0000 7.2535 0.0000 0.0000 0.0000 9.0730" Properties=species:S:1:pos:R:3 pbc="T T T"
Tl 1.3849 2.4447 6.2179
Tl 4.1546 4.8088 2.8551
Tl 4.1546 6.0714 7.3916
Tl 1.3849 1.1820 1.6814
B 1.3849 5.0225 0.5612
B 1.3849 5.8577 5.0978
B 4.1546 1.3957 3.9753
B 4.1546 2.2310 8.5118
F 3.0075 2.2166 3.8411
F 5.3017 1.4101 8.3776
F 2.5319 5.8433 0.6954
F 0.2378 5.0368 5.2319
F 1.3849 4.0644 1.5894
F 4.1546 3.1891 7.4837
F 4.1546 0.4376 2.9472
F 1.3849 6.8158 6.1259
F 1.3849 4.4186 8.3747
F 4.1546 2.8349 0.6983
F 4.1546 0.7918 5.2348
F 1.3849 6.4616 3.8382
F 0.2378 5.8433 0.6954
F 3.0075 1.4101 8.3776
F 5.3017 2.2166 3.8411
F 2.5319 5.0368 5.2319
```



[7]
VASP calculation (r²SCAN) on Fe23B6 after structural relaxation.

Total magnetization ... 57.7 μB per cell
Space group ... Fm-3m (225)
Final energy ... -13.063 eV/atom
Theoretical density ... 7.4 g/cm3
Crystal system ... cubic

Cell and atoms, written as extended XYZ:
```
29
Lattice="-7.3467 -0.8160 1.4796 -2.7168 -6.7429 1.9953 -2.3103 -1.1890 7.0765" Properties=species:S:1:pos:R:3 pbc="T T T"
Fe 0.0000 0.0000 0.0000
Fe -3.0934 -2.1869 2.6379
Fe -9.2804 -6.5610 7.9135
Fe -2.5252 -0.2805 0.5086
Fe -0.7941 -0.4087 2.4323
Fe -4.3082 -4.7057 1.8181
Fe -2.4500 -3.0980 5.3300
Fe -9.9237 -5.6499 5.2214
Fe -0.9338 -2.3176 0.6858
Fe -4.0414 -1.0608 5.1527
Fe -5.7553 -2.8532 1.6569
Fe -11.4399 -6.4302 9.8656
Fe -8.3324 -7.6871 5.3987
Fe -1.5162 -0.7803 4.6442
Fe -9.8486 -8.4674 10.0428
Fe -4.7379 -3.3495 4.0401
Fe -6.5537 -4.8414 3.1966
Fe -4.1946 -5.0161 5.8182
Fe -6.3633 -2.2399 5.5767
Fe -8.1792 -3.7317 4.7332
Fe -6.0104 -6.5080 4.9747
Fe -5.8201 -3.9065 7.3548
Fe -7.6359 -5.3984 6.5113
B -6.7092 -2.7714 3.5659
B -7.9329 -5.8085 4.4646
B -4.4408 -2.9394 6.0868
B -7.7498 -3.3070 6.7532
B -4.6239 -5.4409 3.7982
B -5.6645 -5.9765 6.9855
```



[8]
VASP calculation (r²SCAN) on HoFe2B2 after structural relaxation.

Total magnetization ... 3.2 μB per cell
Space group ... I4/mmm (139)
Final energy ... -15.642 eV/atom
Theoretical density ... 8.6 g/cm3
Crystal system ... tetragonal

Cell and atoms, written as extended XYZ:
```
5
Lattice="-3.4520 -0.1470 -0.1405 0.0377 -2.8111 2.0134 1.4287 4.2779 2.9764" Properties=species:S:1:pos:R:3 pbc="T T T"
Ho 0.0000 0.0000 0.0000
Fe -0.1203 -0.0061 2.9632
Fe -1.8652 1.3259 1.8862
B -0.2113 2.1246 2.9702
B -1.7742 -0.8048 1.8791
```



[9]
VASP calculation (r²SCAN) on Sc2FeB2Ir5 after structural relaxation.

Total magnetization ... 9.0 μB per cell
Space group ... P4/mbm (127)
Final energy ... -32.190 eV/atom
Theoretical density ... 14.0 g/cm3
Crystal system ... tetragonal

Cell and atoms, written as extended XYZ:
```
20
Lattice="-6.4724 -2.7398 -6.1896 1.5486 -8.9361 2.3362 -2.1419 0.1921 2.1547" Properties=species:S:1:pos:R:3 pbc="T T T"
Sc -0.0939 -6.5270 0.4886
Sc -4.8298 -5.1490 -4.3420
Sc -1.8218 -2.4626 -1.5914
Sc -3.1020 -9.2134 -2.2621
Fe 0.0000 0.0000 0.0000
Fe -2.4619 -5.8380 -1.9267
B -1.0738 -8.8505 -0.2783
B -4.6982 -7.9803 -3.9588
B -0.2256 -3.6956 0.1053
B -3.8500 -2.8254 -3.5752
Ir -4.3072 -1.2739 -2.0174
Ir -4.8207 -6.9541 -2.0215
Ir -4.3169 -4.0057 -1.7835
Ir -2.7488 -7.4781 0.0848
Ir -2.2450 -4.5297 0.3227
Ir -0.2967 -4.3720 2.2455
Ir -5.8785 -9.4626 -2.8493
Ir -6.0401 -2.6745 -3.6152
Ir -1.0256 -8.8093 1.9165
Ir -1.1872 -2.0212 1.1506
```



[10]
VASP calculation (r²SCAN) on Li8Mn7FeB8O24 after structural relaxation.

Total magnetization ... 39.0 μB per cell
Space group ... P1 (1)
Final energy ... -9.407 eV/atom
Theoretical density ... 3.3 g/cm3
Crystal system ... triclinic

Cell and atoms, written as extended XYZ:
```
48
Lattice="-1.9302 4.7976 -0.5965 -5.8376 0.1572 -0.7158 -3.7734 3.3921 16.6719" Properties=species:S:1:pos:R:3 pbc="T T T"
Li -8.3881 3.1771 12.1047
Li -7.9553 6.9582 11.2543
Li -7.5081 3.7440 7.1856
Li -5.0597 2.9771 -0.5250
Li -6.4814 5.3678 15.9147
Li -4.0310 4.6035 8.1482
Li -3.5678 1.3957 4.0849
Li -3.1587 5.1878 3.2627
Mn -9.5692 5.6541 13.2380
Mn -8.2569 6.0682 5.4538
Mn -7.2321 7.6804 14.1545
Mn -6.7801 4.4693 10.1014
Mn -4.7600 3.8797 5.2429
Mn -4.3547 0.6354 1.2432
Mn -3.2751 2.2905 9.9035
Fe -1.9833 2.6472 2.0920
B -8.0141 6.5613 8.3725
B -7.5678 3.3728 4.2964
B -8.3273 3.5589 14.9809
B -6.5364 4.9758 13.0303
B -5.0113 3.3596 2.3332
B -3.2042 4.7762 0.4196
B -3.9721 4.9986 11.0356
B -3.5213 1.7893 6.9750
O -9.8144 6.1709 11.2447
O -9.4661 7.2332 14.5494
O -9.0125 4.0377 10.5031
O -9.0857 3.6937 13.8189
O -8.0120 5.5473 7.4474
O -8.3204 4.5607 15.9189
O -7.2620 6.4411 9.5398
O -6.8192 3.2265 5.4642
O -7.3321 6.0941 12.8492
O -6.8792 2.8831 8.7864
O -5.7725 3.4844 1.1738
O -6.5293 3.9652 12.1024
O -4.9986 4.3836 3.2503
O -5.7876 4.8537 14.1997
O -4.6599 5.4650 6.5553
O -4.2250 2.2361 2.5184
O -4.7251 5.1174 9.8691
O -4.2708 1.9167 5.8074
O -3.2286 3.7846 -0.5243
O -3.5253 2.7967 7.9076
O -2.4715 4.6043 1.5870
O -2.5258 4.3374 4.8553
O -2.0224 1.1387 0.8415
O -1.7262 2.2254 4.0624
```



[11]
VASP calculation (r²SCAN) on LiFe2B2O6 after structural relaxation.

Total magnetization ... 18.0 μB per cell
Space group ... Cc (9)
Final energy ... -9.553 eV/atom
Theoretical density ... 3.4 g/cm3
Crystal system ... monoclinic

Cell and atoms, written as extended XYZ:
```
22
Lattice="-0.9537 -2.9675 -4.1588 0.9494 -2.1883 4.6175 -9.5513 0.4605 2.0302" Properties=species:S:1:pos:R:3 pbc="T T T"
Li -1.5631 -4.3113 0.8241
Li -6.3809 -4.0982 1.6451
Fe -8.0585 -2.8184 3.5381
Fe -3.9162 -3.3080 -0.3976
Fe -5.7466 -1.3740 2.8201
Fe -1.5679 -1.8486 -0.9479
B -8.6830 -3.0973 0.6134
B -3.2724 -3.0675 2.5264
B -6.3148 -1.6043 -0.0383
B -0.9019 -1.5736 1.8853
O -3.3755 -3.7400 1.3509
O -1.9494 -3.8377 -1.0691
O -5.9717 -3.2990 3.4203
O -0.5382 -2.9173 1.9288
O -5.9523 -2.9484 -0.0006
O -1.1862 -0.9686 0.7052
O -8.2691 -3.5580 1.8220
O -3.7369 -1.7848 2.6847
O -9.2180 -1.8434 0.4466
O -3.5898 -1.5131 -1.0285
O -7.5674 -0.9560 3.6670
O -6.1106 -0.7992 1.0340
```



| no. | formation energy from the elements (eV per atom) |
| --- | --- |
| 1 | -2.234 |
| 2 | -2.681 |
| 3 | -3.208 |
| 4 | -2.839 |
| 5 | -2.304 |
| 6 | -2.786 |
| 7 | -0.112 |
| 8 | -0.361 |
| 9 | -0.820 |
| 10 | -2.357 |
| 11 | -2.122 |